RbC2S2NO4F4 | PBE | optimized geometry

Lattice parameters (Å, degrees): 5.5738 18.5759 17.6600 90.00 90.76 90.00
With the nearest neighbours (Å) after each atom.
Space group P2_1/c (No. 14)
One atom of each set of equivalent atoms:
Rb: 0.0057 0.2487 0.2617  6 O 2.90-3.20, 1 F 3.09
Rb: 0.0084 0.1224 0.5339  6 O 2.95-3.19, 2 N 3.15
C: 0.4469 0.5039 0.7365  2 F 1.35-1.36
C: 0.4562 0.1486 0.9474  2 F 1.36
C: 0.4743 0.1274 0.0333  2 F 1.36
C: 0.4897 0.0603 0.2930  2 F 1.36
S: 0.4534 0.0223 0.3909  2 O 1.44-1.45, 1 N 1.60
S: 0.4555 0.5899 0.7957  2 O 1.45, 1 N 1.61
S: 0.4582 0.2144 0.0885  2 O 1.45-1.46, 1 N 1.60
S: 0.4977 0.2498 0.4419  2 O 1.45-1.46, 1 N 1.60
N: 0.4153 0.7347 0.9726  2 S 1.60
N: 0.4416 0.0563 0.6265  2 S 1.60-1.61
O: 0.1975 0.0250 0.4057  1 S 1.45
O: 0.2045 0.2292 0.0997  1 S 1.46
O: 0.2095 0.6156 0.7999  1 S 1.45
O: 0.2634 0.2203 0.4219  1 S 1.46
O: 0.3071 0.7345 0.1089  1 S 1.45
O: 0.3688 0.1384 0.7355  1 S 1.45
O: 0.3874 0.5596 0.0573  1 S 1.44
O: 0.3912 0.7086 0.3446  1 S 1.45
F: 0.2306 0.0028 0.2012  1 C 1.36
F: 0.2388 0.1302 0.9179  1 C 1.36
F: 0.2830 0.5860 0.2134  1 C 1.36
F: 0.2965 0.0814 0.0530  1 C 1.36
F: 0.3102 0.5960 0.4516  1 C 1.36
F: 0.3325 0.1152 0.2792  1 C 1.36
F: 0.3686 0.6160 0.5929  1 C 1.36
F: 0.3777 0.0059 0.8158  1 C 1.35

Formation energy   -1.464 eV/atom
Total magnetization   0.17 μB per cell
Mass density   2.38 Mg/m³
Energy with MP2020 corrections   -6.00 eV per atom